Entry 1:
Na4Si5Sn2O17 after structural relaxation, computed with GGA-PBE.

## Properties
theoretical density = 3.4 g cm⁻³
DFT formation energy = -2.615 eV/atom
corrected total energy (MP2020 scheme) = -7.06 eV per atom
E = -372.2 eV for the cell shown

abc: 10.885 10.885 13.974
angles: 109.48 109.48 28.16
Fractional positions:
Na1 0.034 0.034 0.172
Na2 0.422 0.508 0.328
Na3 0.492 0.578 0.672
Na4 0.496 0.065 0.085
Na5 0.522 0.041 0.586
Na6 0.935 0.504 0.915
Na7 0.959 0.478 0.414
Na8 0.966 0.966 0.828
Si1 0.046 0.611 0.226
Si2 0.067 0.589 0.726
Si3 0.108 0.658 0.051
Si4 0.113 0.655 0.552
Si5 0.342 0.892 0.949
Si6 0.345 0.887 0.448
Si7 0.389 0.954 0.774
Si8 0.411 0.933 0.274
Si9 0.477 0.523 0.000
Si10 0.975 0.025 0.500
Sn1 0.570 0.115 0.889
Sn2 0.575 0.110 0.387
Sn3 0.885 0.430 0.111
Sn4 0.890 0.425 0.613
O1 0.068 0.206 0.976
O2 0.071 0.445 0.140
O3 0.082 0.691 0.671
O4 0.096 0.258 0.749
O5 0.131 0.794 0.558
O6 0.148 0.627 0.171
O7 0.203 0.139 0.523
O8 0.206 0.079 0.173
O9 0.206 0.869 0.442
O10 0.247 0.677 0.058
O11 0.251 0.464 0.327
O12 0.255 0.404 0.977
O13 0.309 0.918 0.329
O14 0.323 0.753 0.942
O15 0.360 0.285 0.752
O16 0.373 0.852 0.829
O17 0.386 0.339 0.524
O18 0.387 0.099 0.360
O19 0.536 0.749 0.673
O20 0.555 0.929 0.860
O21 0.595 0.294 0.917
O22 0.596 0.745 0.023
O23 0.619 0.285 0.712
O24 0.661 0.614 0.476
O25 0.706 0.405 0.083
O26 0.715 0.381 0.288
O27 0.715 0.640 0.248
O28 0.742 0.904 0.251
O29 0.749 0.139 0.416
O30 0.794 0.932 0.024
O31 0.861 0.251 0.584
O32 0.861 0.797 0.477
O33 0.901 0.613 0.640
O34 0.921 0.794 0.827

Entry 2:
Na8Si6SnO18 after structural relaxation, computed with GGA-PBE.

## Properties
theoretical density = 3.1 g cm⁻³
DFT formation energy = -2.759 eV/atom
corrected total energy (MP2020 scheme) = -6.89 eV per atom
E = -214.9 eV for the cell shown

abc: 7.443 7.443 7.443
angles: 87.78 87.78 87.78
Fractional positions:
Na1 0.000 0.000 0.500
Na2 0.000 0.500 0.000
Na3 0.000 0.500 0.500
Na4 0.245 0.245 0.245
Na5 0.500 0.000 0.000
Na6 0.500 0.000 0.500
Na7 0.500 0.500 0.000
Na8 0.755 0.755 0.755
Si1 0.265 0.721 0.721
Si2 0.279 0.279 0.735
Si3 0.279 0.735 0.279
Si4 0.721 0.265 0.721
Si5 0.721 0.721 0.265
Si6 0.735 0.279 0.279
Sn1 0.000 0.000 0.000
O1 0.080 0.811 0.811
O2 0.189 0.189 0.920
O3 0.189 0.920 0.189
O4 0.212 0.212 0.549
O5 0.212 0.549 0.212
O6 0.242 0.500 0.758
O7 0.242 0.758 0.500
O8 0.451 0.788 0.788
O9 0.500 0.242 0.758
O10 0.500 0.758 0.242
O11 0.549 0.212 0.212
O12 0.758 0.242 0.500
O13 0.758 0.500 0.242
O14 0.788 0.451 0.788
O15 0.788 0.788 0.451
O16 0.811 0.080 0.811
O17 0.811 0.811 0.080
O18 0.920 0.189 0.189

Entry 3:
Na4Si3Sn2O12 after structural relaxation, computed with GGA-PBE.

## Properties
theoretical density = 3.7 g cm⁻³
DFT formation energy = -2.615 eV/atom
corrected total energy (MP2020 scheme) = -6.85 eV per atom
E = -271.3 eV for the cell shown

abc: 9.101 9.101 9.101
angles: 60.45 60.45 60.45
Fractional positions:
Na1 0.000 0.000 0.000
Na2 0.117 0.750 0.383
Na3 0.250 0.617 0.883
Na4 0.383 0.117 0.750
Na5 0.500 0.500 0.500
Na6 0.617 0.883 0.250
Na7 0.750 0.383 0.117
Na8 0.883 0.250 0.617
Si1 0.044 0.456 0.750
Si2 0.250 0.956 0.544
Si3 0.456 0.750 0.044
Si4 0.544 0.250 0.956
Si5 0.750 0.044 0.456
Si6 0.956 0.544 0.250
Sn1 0.147 0.147 0.147
Sn2 0.353 0.353 0.353
Sn3 0.647 0.647 0.647
Sn4 0.853 0.853 0.853
O1 0.020 0.630 0.781
O2 0.064 0.270 0.922
O3 0.078 0.936 0.730
O4 0.130 0.520 0.281
O5 0.219 0.980 0.370
O6 0.230 0.436 0.578
O7 0.270 0.922 0.064
O8 0.281 0.130 0.520
O9 0.370 0.219 0.980
O10 0.422 0.770 0.564
O11 0.436 0.578 0.230
O12 0.480 0.719 0.870
O13 0.520 0.281 0.130
O14 0.564 0.422 0.770
O15 0.578 0.230 0.436
O16 0.630 0.781 0.020
O17 0.719 0.870 0.480
O18 0.730 0.078 0.936
O19 0.770 0.564 0.422
O20 0.781 0.020 0.630
O21 0.870 0.480 0.719
O22 0.922 0.064 0.270
O23 0.936 0.730 0.078
O24 0.980 0.370 0.219

Entry 4:
Na7TaSi6Sn3O24 after structural relaxation, computed with GGA-PBE.

## Properties
theoretical density = 3.8 g cm⁻³
DFT formation energy = -2.733 eV/atom
corrected total energy (MP2020 scheme) = -7.23 eV per atom
E = -840.0 eV for the cell shown

abc: 9.088 9.095 22.618
angles: 90.06 90.01 119.97
Fractional positions:
Na1 0.000 0.000 0.000
Na2 0.002 0.370 0.503
Na3 0.033 0.335 0.169
Na4 0.036 0.702 0.419
Na5 0.043 0.702 0.920
Na6 0.068 0.397 0.836
Na7 0.069 0.035 0.336
Na8 0.335 0.668 0.336
Na9 0.341 0.038 0.835
Na10 0.368 0.000 0.503
Na11 0.368 0.363 0.751
Na12 0.369 0.369 0.254
Na13 0.401 0.064 0.169
Na14 0.405 0.706 0.669
Na15 0.673 0.705 0.169
Na16 0.696 0.029 0.083
Na17 0.699 0.670 0.835
Na18 0.702 0.402 0.336
Na19 0.709 0.042 0.589
Na20 0.737 0.736 0.503
Na21 0.739 0.371 0.000
Ta1 0.035 0.702 0.770
Ta2 0.369 0.365 0.608
Ta3 0.369 0.369 0.103
Si1 0.032 0.407 0.667
Si2 0.035 0.993 0.168
Si3 0.078 0.371 0.001
Si4 0.079 0.078 0.502
Si5 0.328 0.702 0.169
Si6 0.328 0.995 0.668
Si7 0.368 0.659 0.502
Si8 0.369 0.074 0.001
Si9 0.410 0.036 0.335
Si10 0.412 0.745 0.834
Si11 0.660 0.369 0.502
Si12 0.660 0.663 0.001
Si13 0.702 0.326 0.836
Si14 0.702 0.742 0.335
Si15 0.744 0.410 0.168
Si16 0.745 0.703 0.668
Si17 0.993 0.035 0.836
Si18 0.995 0.328 0.335
Sn1 0.035 0.702 0.568
Sn2 0.036 0.702 0.270
Sn3 0.040 0.702 0.065
Sn4 0.369 0.368 0.401
Sn5 0.369 0.369 0.900
Sn6 0.699 0.032 0.938
Sn7 0.702 0.035 0.234
Sn8 0.702 0.035 0.438
Sn9 0.706 0.039 0.731
O1 0.005 0.491 0.608
O2 0.012 0.516 0.330
O3 0.013 0.864 0.827
O4 0.050 0.534 0.007
O5 0.059 0.889 0.507
O6 0.068 0.536 0.725
O7 0.080 0.918 0.227
O8 0.173 0.340 0.059
O9 0.176 0.208 0.557
O10 0.183 0.345 0.340
O11 0.185 0.202 0.840
O12 0.191 0.401 0.942
O13 0.193 0.893 0.008
O14 0.194 0.153 0.442
O15 0.199 0.679 0.507
O16 0.204 0.899 0.726
O17 0.207 0.184 0.160
O18 0.209 0.656 0.228
O19 0.212 0.403 0.661
O20 0.220 0.723 0.827
O21 0.222 0.864 0.330
O22 0.245 0.745 0.113
O23 0.249 0.876 0.609
O24 0.328 0.543 0.442
O25 0.330 0.156 0.943
O26 0.342 0.181 0.661
O27 0.347 0.531 0.160
O28 0.389 0.554 0.840
O29 0.392 0.206 0.340
O30 0.397 0.201 0.059
O31 0.401 0.566 0.559
O32 0.489 0.870 0.891
O33 0.490 0.994 0.394
O34 0.511 0.004 0.675
O35 0.518 0.870 0.174
O36 0.528 0.076 0.276
O37 0.530 0.338 0.557
O38 0.530 0.822 0.775
O39 0.531 0.554 0.340
O40 0.535 0.349 0.840
O41 0.538 0.564 0.059
O42 0.541 0.846 0.498
O43 0.547 0.073 0.999
O44 0.553 0.390 0.161
O45 0.554 0.532 0.661
O46 0.582 0.541 0.943
O47 0.584 0.409 0.442
O48 0.659 0.200 0.779
O49 0.662 0.821 0.276
O50 0.674 0.196 0.498
O51 0.683 0.852 0.999
O52 0.714 0.864 0.674
O53 0.722 0.220 0.173
O54 0.743 0.863 0.394
O55 0.749 0.253 0.895
O56 0.819 0.530 0.227
O57 0.838 0.674 0.726
O58 0.847 0.676 0.008
O59 0.849 0.538 0.507
O60 0.856 0.735 0.608
O61 0.864 0.490 0.110
O62 0.867 0.015 0.173
O63 0.867 0.221 0.674
O64 0.873 0.517 0.827
O65 0.874 0.248 0.394
O66 0.874 0.726 0.330
O67 0.875 0.990 0.895
O68 0.891 0.064 0.498
O69 0.892 0.195 0.999
O70 0.910 0.077 0.779
O71 0.917 0.209 0.276
O72 0.995 0.873 0.110